The following is a r²SCAN calculation of crystalline Rb2H4Pt at its relaxed geometry, from the Materials Project database.

Cell lengths 5.8619, 5.8619, 8.4044 Å; angles 90.00, 90.00, 90.00 degrees
Last column: nearest neighbours and their distance in Å.
Fractional positions:
Rb: 0.0000 0.5000 0.2500  8 H 2.97-2.98
Rb: 0.0000 0.5000 0.7500  8 H 2.97-2.98
Rb: 0.5000 0.0000 0.2500  8 H 2.97-2.98
Rb: 0.5000 0.0000 0.7500  8 H 2.97-2.98
H: 0.0000 0.0000 0.1962  1 Pt 1.65
H: 0.0000 0.0000 0.8038  1 Pt 1.65
H: 0.1993 0.1993 0.0000  1 Pt 1.65
H: 0.3007 0.6993 0.5000  1 Pt 1.65
H: 0.5000 0.5000 0.3038  1 Pt 1.65
H: 0.5000 0.5000 0.6962  1 Pt 1.65
H: 0.6993 0.3007 0.5000  1 Pt 1.65
H: 0.8007 0.8007 0.0000  1 Pt 1.65
Pt: 0.0000 0.0000 0.0000  4 H 1.65
Pt: 0.5000 0.5000 0.5000  4 H 1.65

Results
Crystal system: tetragonal
Electronic total energy, eV/cell: -193.001
Total moment, Bohr magnetons per cell: 0.00
ΔH_f (0 K), eV per formula unit: -3.3